Entry 1:
VASP calculation (r2SCAN) on Te2P3O12 after structural relaxation.

```
data_Te2P3O12
_cell_length_a 8.5892
_cell_length_b 8.5892
_cell_length_c 21.9373
_cell_angle_alpha 90.00
_cell_angle_beta 90.00
_cell_angle_gamma 120.00
_symmetry_space_group_name_H-M 'R -3'
_symmetry_Int_Tables_number 148
_symmetry_space_group_name_Hall '-R 3'
loop_
_atom_site_label
_atom_site_type_symbol
_atom_site_fract_x
_atom_site_fract_y
_atom_site_fract_z
_atom_site_occupancy
Te1 Te 0.0000 0.0000 0.1384 1
Te2 Te 0.0000 0.0000 0.3424 1
P1 P 0.0022 0.6997 0.7535 1
O1 O 0.0188 0.2579 0.1818 1
O2 O 0.0341 0.8396 0.0804 1
O3 O 0.0757 0.8485 0.3939 1
O4 O 0.0848 0.8712 0.7123 1
```

Computed properties:
Total energy: -10.5695 eV per atom
Formation energy: -40.9 kcal/mol of atoms

---

Entry 2:
VASP calculation (r2SCAN) on Te4P2O13 after structural relaxation.

```
data_Te4P2O13
_cell_length_a 11.2690
_cell_length_b 4.6693
_cell_length_c 22.5066
_cell_angle_alpha 90.00
_cell_angle_beta 116.93
_cell_angle_gamma 90.00
_symmetry_space_group_name_H-M 'P 1 21/c 1'
_symmetry_Int_Tables_number 14
_symmetry_space_group_name_Hall '-P 2ybc'
loop_
_atom_site_label
_atom_site_type_symbol
_atom_site_fract_x
_atom_site_fract_y
_atom_site_fract_z
_atom_site_occupancy
Te1 Te 0.0102 0.1838 0.3110 1
Te2 Te 0.1841 0.2339 0.0609 1
Te3 Te 0.3471 0.1939 0.4245 1
Te4 Te 0.4777 0.6919 0.3493 1
P1 P 0.1368 0.7489 0.9425 1
P2 P 0.3035 0.7224 0.6777 1
O1 O 0.0127 0.5742 0.8978 1
O2 O 0.0388 0.1716 0.7344 1
O3 O 0.1078 0.6269 0.4987 1
O4 O 0.1654 0.5140 0.4047 1
O5 O 0.1848 0.5186 0.6295 1
O6 O 0.1940 0.0609 0.3466 1
O7 O 0.2569 0.5447 0.9778 1
O8 O 0.2716 0.6876 0.2326 1
O9 O 0.3065 0.5209 0.1343 1
O10 O 0.3511 0.0961 0.0718 1
O11 O 0.4058 0.1597 0.8567 1
O12 O 0.4322 0.6592 0.9233 1
O13 O 0.4346 0.5602 0.7018 1
```

Computed properties:
Total energy: -11.9661 eV per atom
Formation energy: -36.5 kcal/mol of atoms

---

Entry 3:
VASP calculation (r2SCAN) on Th2P2O9 after structural relaxation.

```
data_Th2P2O9
_cell_length_a 7.2055
_cell_length_b 9.2491
_cell_length_c 12.9109
_cell_angle_alpha 90.00
_cell_angle_beta 90.00
_cell_angle_gamma 90.00
_symmetry_space_group_name_H-M 'C m c e'
_symmetry_Int_Tables_number 64
_symmetry_space_group_name_Hall '-C 2ac 2'
loop_
_atom_site_label
_atom_site_type_symbol
_atom_site_fract_x
_atom_site_fract_y
_atom_site_fract_z
_atom_site_occupancy
Th1 Th 0.0000 0.2076 0.0727 1
P1 P 0.0000 0.1109 0.3594 1
O1 O 0.0000 0.0000 0.0000 1
O2 O 0.0000 0.0512 0.6233 1
O3 O 0.0000 0.1463 0.2449 1
O4 O 0.1671 0.1828 0.4156 1
```

Computed properties:
Total energy: -20.1459 eV per atom
Formation energy: -76.6 kcal/mol of atoms

---

Entry 4:
VASP calculation (r2SCAN) on Ti3P6WO24 after structural relaxation.

```
data_Ti3P6WO24
_cell_length_a 8.5216
_cell_length_b 8.5216
_cell_length_c 21.7637
_cell_angle_alpha 90.00
_cell_angle_beta 90.00
_cell_angle_gamma 120.00
_symmetry_space_group_name_H-M 'R 3'
_symmetry_Int_Tables_number 146
_symmetry_space_group_name_Hall 'R 3'
loop_
_atom_site_label
_atom_site_type_symbol
_atom_site_fract_x
_atom_site_fract_y
_atom_site_fract_z
_atom_site_occupancy
Ti1 Ti 0.0000 0.0000 0.0000 1
Ti2 Ti 0.0000 0.0000 0.2200 1
Ti3 Ti 0.0000 0.0000 0.7183 1
P1 P 0.9995 0.7221 0.1088 1
P2 P 0.0488 0.3812 0.2783 1
W1 W 0.0000 0.0000 0.5004 1
O1 O 0.0071 0.1885 0.2693 1
O2 O 0.0129 0.1878 0.5523 1
O3 O 0.0465 0.8384 0.7665 1
O4 O 0.0525 0.8460 0.0537 1
O5 O 0.1544 0.6786 0.8342 1
O6 O 0.1586 0.6801 0.1178 1
O7 O 0.1765 0.4641 0.3319 1
O8 O 0.1809 0.4569 0.6180 1
```

Computed properties:
Total energy: -11.1190 eV per atom
Formation energy: -61.4 kcal/mol of atoms

---

Entry 5:
VASP calculation (r2SCAN) on TmPO4 after structural relaxation.

```
data_TmPO4
_cell_length_a 6.7876
_cell_length_b 6.7876
_cell_length_c 5.9504
_cell_angle_alpha 90.00
_cell_angle_beta 90.00
_cell_angle_gamma 90.00
_symmetry_space_group_name_H-M 'I 41/a m d'
_symmetry_Int_Tables_number 141
loop_
_symmetry_equiv_pos_as_xyz
'x,y,z'
'-x,-y,-z'
'-y+1/4,x+3/4,z+1/4'
'y+1/4,-x+3/4,-z+1/4'
'-x+1/2,-y,z+1/2'
'x+1/2,y,-z+1/2'
'y+1/4,-x+1/4,z+3/4'
'-y+1/4,x+1/4,-z+3/4'
'x,-y,-z'
'-x,y,z'
'-y+1/4,-x+1/4,-z+3/4'
'y+1/4,x+1/4,z+3/4'
'-x+1/2,y,-z+1/2'
'x+1/2,-y,z+1/2'
'y+1/4,x+3/4,-z+1/4'
'-y+1/4,-x+3/4,z+1/4'
'x+1/2,y+1/2,z+1/2'
'-x+1/2,-y+1/2,-z+1/2'
'-y+3/4,x+1/4,z+3/4'
'y+3/4,-x+1/4,-z+3/4'
'-x,-y+1/2,z'
'x,y+1/2,-z'
'y+3/4,-x+3/4,z+1/4'
'-y+3/4,x+3/4,-z+1/4'
'x+1/2,-y+1/2,-z+1/2'
'-x+1/2,y+1/2,z+1/2'
'-y+3/4,-x+3/4,-z+1/4'
'y+3/4,x+3/4,z+1/4'
'-x,y+1/2,-z'
'x,-y+1/2,z'
'y+3/4,x+1/4,-z+3/4'
'-y+3/4,-x+1/4,z+3/4'
loop_
_atom_site_label
_atom_site_type_symbol
_atom_site_fract_x
_atom_site_fract_y
_atom_site_fract_z
_atom_site_occupancy
Tm1 Tm 0.0000 0.2500 0.3750 1
P1 P 0.0000 0.2500 0.8750 1
O1 O 0.0000 0.0735 0.7133 1
```

Computed properties:
Total energy: -14.7031 eV per atom
Formation energy: -77.7 kcal/mol of atoms

---

Entry 6:
VASP calculation (r2SCAN) on UP4O12 after structural relaxation.

```
data_UP4O12
_cell_length_a 11.8000
_cell_length_b 12.8366
_cell_length_c 8.3223
_cell_angle_alpha 90.00
_cell_angle_beta 134.43
_cell_angle_gamma 90.00
_symmetry_space_group_name_H-M 'C 1 m 1'
_symmetry_Int_Tables_number 8
_symmetry_space_group_name_Hall 'C -2y'
loop_
_atom_site_label
_atom_site_type_symbol
_atom_site_fract_x
_atom_site_fract_y
_atom_site_fract_z
_atom_site_occupancy
U1 U 0.0000 0.2125 0.0000 1
P1 P 0.1145 0.3869 0.4646 1
P2 P 0.1442 0.1162 0.7524 1
P3 P 0.3561 0.3837 0.2479 1
P4 P 0.3849 0.1131 0.5344 1
O1 O 0.0003 0.1514 0.5001 1
O2 O 0.0588 0.3095 0.2913 1
O3 O 0.0856 0.5000 0.3616 1
O4 O 0.0973 0.1164 0.8776 1
O5 O 0.1751 0.0000 0.7238 1
O6 O 0.2174 0.1203 0.3136 1
O7 O 0.2183 0.3198 0.1593 1
O8 O 0.2810 0.3794 0.6874 1
O9 O 0.2824 0.1798 0.8418 1
O10 O 0.3251 0.5000 0.2764 1
O11 O 0.4026 0.3835 0.1221 1
O12 O 0.4156 0.0000 0.6386 1
O13 O 0.4426 0.1905 0.7087 1
O14 O 0.4978 0.1125 0.4960 1
```

Computed properties:
Total energy: -13.6520 eV per atom
Formation energy: -60.3 kcal/mol of atoms

---

Entry 7:
VASP calculation (r2SCAN) on UP4O12 after structural relaxation.

```
data_UP4O12
_cell_length_a 8.2853
_cell_length_b 8.2931
_cell_length_c 8.6788
_cell_angle_alpha 118.02
_cell_angle_beta 118.10
_cell_angle_gamma 90.08
_symmetry_space_group_name_H-M 'P -1'
_symmetry_Int_Tables_number 2
_symmetry_space_group_name_Hall '-P 1'
loop_
_atom_site_label
_atom_site_type_symbol
_atom_site_fract_x
_atom_site_fract_y
_atom_site_fract_z
_atom_site_occupancy
U1 U 0.2122 0.2096 0.4196 1
P1 P 0.0396 0.4921 0.7731 1
P2 P 0.2659 0.7245 0.2202 1
P3 P 0.2734 0.0362 0.7717 1
P4 P 0.4972 0.7319 0.7801 1
O1 O 0.0205 0.3452 0.2434 1
O2 O 0.0770 0.3518 0.6185 1
O3 O 0.0973 0.9883 0.7666 1
O4 O 0.1083 0.6215 0.2223 1
O5 O 0.2264 0.5741 0.9967 1
O6 O 0.2291 0.9034 0.2299 1
O7 O 0.2579 0.0690 0.6127 1
O8 O 0.3397 0.2297 0.2383 1
O9 O 0.3606 0.5397 0.6338 1
O10 O 0.3805 0.8799 0.7709 1
O11 O 0.4226 0.2211 0.9919 1
O12 O 0.4557 0.7363 0.3755 1
```

Computed properties:
Total energy: -13.6509 eV per atom
Formation energy: -60.3 kcal/mol of atoms

---

Entry 8:
VASP calculation (r2SCAN) on UPO5 after structural relaxation.

```
data_UPO5
_cell_length_a 5.4897
_cell_length_b 8.8149
_cell_length_c 9.2206
_cell_angle_alpha 102.56
_cell_angle_beta 102.62
_cell_angle_gamma 97.80
_symmetry_space_group_name_H-M 'P -1'
_symmetry_Int_Tables_number 2
_symmetry_space_group_name_Hall '-P 1'
loop_
_atom_site_label
_atom_site_type_symbol
_atom_site_fract_x
_atom_site_fract_y
_atom_site_fract_z
_atom_site_occupancy
U1 U 0.1454 0.2018 0.4502 1
U2 U 0.1617 0.6959 0.9466 1
P1 P 0.2260 0.5778 0.3191 1
P2 P 0.4058 0.9864 0.7404 1
O1 O 0.0635 0.1935 0.9941 1
O2 O 0.0802 0.6870 0.4056 1
O3 O 0.1377 0.4056 0.3246 1
O4 O 0.1477 0.5676 0.1465 1
O5 O 0.2192 0.8608 0.7767 1
O6 O 0.2275 0.0277 0.6049 1
O7 O 0.3810 0.5863 0.8782 1
O8 O 0.3858 0.0893 0.3171 1
O9 O 0.4807 0.8720 0.1259 1
O10 O 0.4917 0.3625 0.6098 1
```

Computed properties:
Total energy: -19.9775 eV per atom
Formation energy: -69.3 kcal/mol of atoms